# 1
## MgMn5CuO12 (GGA+U)

Data for MgMn5CuO12 after structural relaxation.

## Properties
As for the formation enthalpy at 0 K: -1772.6 meV/atom. For the total energy, the calculation gives -6.736 eV/atom. The space group is Cm (8).

The structure in extended XYZ format:
```
19
Lattice="0.3360 -2.0039 4.6454 4.3790 -2.1554 1.5205 2.9425 9.1252 2.3258" Properties=species:S:1:pos:R:3 pbc="T T T"
Mg 0.7478 2.0807 0.9337
Mn 4.4487 2.8627 2.9206
Mn 3.1657 -2.7511 4.1905
Mn 1.5919 -1.3641 2.1356
Mn 3.2338 2.2396 5.5067
Mn 1.6431 3.6017 3.4468
Cu 2.8749 8.8937 2.3036
O 3.2855 -0.5720 1.4614
O 5.5642 6.1564 4.6908
O 2.5465 2.6745 1.9875
O 4.3423 1.2267 4.0001
O 3.3767 3.7237 4.2807
O 1.8439 5.1168 2.3223
O 4.9818 2.3281 6.3296
O 1.9706 -1.1678 4.0666
O 0.4323 0.2320 1.9359
O 4.5723 5.4722 7.2345
O 2.8643 6.9762 5.0055
O 1.4425 2.0072 4.6863
```

---

# 2
## KMo4AsO15 (GGA+U)

Data for KMo4AsO15 after structural relaxation.

## Properties
As for the formation enthalpy at 0 K: -1929.8 meV/atom. For the total energy, the calculation gives -6.704 eV/atom. The space group is P2_12_12_1 (19).

The structure in extended XYZ format:
```
84
Lattice="-1.0293 -0.2722 -8.1810 12.1800 -0.7368 -1.5079 -0.7209 -12.9873 0.5229" Properties=species:S:1:pos:R:3 pbc="T T T"
K 2.4004 -11.8636 -0.4412
K 8.3312 -5.8312 -4.4799
K 2.3219 -1.6631 -4.9305
K 7.8061 -8.6346 -8.4803
Mo 10.5147 -12.1366 -1.0104
Mo 0.2390 -5.1595 -3.9268
Mo 6.4971 -2.0979 -4.9987
Mo 3.6088 -8.5986 -8.3961
Mo 1.0711 -7.8759 -1.6689
Mo 10.0985 -1.9293 -3.5699
Mo 3.3390 -5.7335 -6.1853
Mo 6.3511 -12.4539 -6.9080
Mo 0.4213 -7.7264 -6.4975
Mo 9.7529 -1.7383 -6.9469
Mo 3.8042 -5.9317 -2.8231
Mo 6.8811 -12.5962 -2.0645
Mo 1.4672 -10.9049 -4.2962
Mo 8.3525 -4.9479 -8.8910
Mo 3.3094 -2.6075 -0.6443
Mo 7.7305 -9.5323 -4.5005
As 10.3789 -11.8182 -4.5452
As 0.4249 -4.5757 -0.4283
As 5.7566 -2.6481 -8.4286
As 4.2992 -8.9506 -4.9299
O -0.6375 -7.7203 -1.6113
O 11.8135 -1.9686 -3.6322
O 5.0098 -5.8990 -6.5421
O 4.6738 -12.4047 -6.5464
O -0.5363 -11.0269 -4.1965
O 10.3298 -5.2981 -8.9718
O 5.2742 -2.4958 -1.0516
O 5.7919 -9.1719 -4.1122
O 1.0254 -8.9946 -5.4058
O 9.0075 -3.0154 -7.9362
O 3.4786 -4.5899 -1.7012
O 7.3481 -11.3928 -3.2889
O 1.2988 -9.3382 -2.6525
O 9.7149 -3.2739 -2.4733
O 2.8629 -4.3369 -7.1754
O 6.9830 -11.0437 -6.0308
O 3.3282 -10.1918 -4.2599
O 6.5815 -4.0387 -8.9926
O 1.5212 -3.3014 -0.1021
O 9.4287 -10.4608 -4.9774
O 11.0196 -11.6947 -2.9689
O -0.2052 -4.5089 -2.0122
O 5.5270 -2.6629 -6.7382
O 4.5183 -9.1261 -6.6126
O 1.5871 -11.7620 -5.7879
O 8.1452 -5.6641 -7.3360
O 2.8170 -1.8489 -2.1128
O 8.3103 -8.7176 -3.0954
O 1.7723 -12.1410 -3.1169
O 8.9367 -5.9610 -1.7878
O 2.2661 -1.5666 -7.6907
O 7.8845 -8.3240 -5.7366
O 10.9187 -8.4124 -7.6844
O -0.7505 -1.1629 -5.7556
O 5.5143 -5.9752 -2.9258
O 5.1772 -12.4421 -1.9663
O 1.5641 -8.5621 0.0638
O 9.5249 -2.6935 -5.2442
O 3.2843 -4.9313 -4.4332
O 6.4862 -11.8057 -8.7184
O 9.1217 -13.3279 -1.9350
O 1.4960 -6.4195 -2.9035
O 7.6082 -0.9812 -6.3152
O 2.6338 -7.2640 -7.1783
O 8.6581 -13.1256 -7.5039
O 0.9745 -6.0962 -5.5477
O 7.7103 -1.2792 -3.6191
O 3.5166 -7.4917 -1.6613
O 9.4688 -13.2737 -4.7182
O 1.1694 -6.1043 -0.1352
O 6.5837 -1.2146 -8.9163
O 3.6377 -7.4000 -4.5624
O 9.3832 -10.7388 -8.7786
O 0.5233 -3.5494 -4.4716
O 6.7120 -3.7382 -4.5157
O 4.2410 -9.9662 -0.5661
O -1.0836 -12.1938 -7.3745
O 10.7589 -6.2598 -5.7080
O 5.0085 -1.5439 -4.3356
O 6.1758 -7.9951 -0.9139
```

---

# 3
## Li5TiV3O8 (GGA+U)

Data for Li5TiV3O8 after structural relaxation.

## Properties
As for the formation enthalpy at 0 K: -2447.1 meV/atom. For the total energy, the calculation gives -6.781 eV/atom. The space group is P2_12_12_1 (19).

The structure in extended XYZ format:
```
68
Lattice="-5.5883 2.4341 5.9814 -5.8776 -5.2595 -3.3510 2.7800 -6.4281 5.2131" Properties=species:S:1:pos:R:3 pbc="T T T"
Li -7.9855 -4.2014 -0.2635
Li -3.9985 0.1562 3.9683
Li -6.3256 -8.6201 5.1885
Li -5.3964 -5.9340 4.8344
Li -4.8021 -1.9333 4.7659
Li -6.3230 -6.9240 6.7341
Li -6.7273 -0.6142 4.7928
Li -4.5925 -0.7159 6.6997
Li -8.2467 -6.4237 5.4312
Li 0.9542 -3.6343 2.9795
Li -5.8751 -6.7080 8.8248
Li -0.4863 -7.3299 4.1996
Li -3.8744 -3.8837 -0.5454
Li -4.6853 -6.6214 -0.3179
Li -0.3225 -4.9616 4.0869
Li -5.9242 -4.6882 0.1003
Li -0.5628 -5.3375 6.3778
Li -2.5794 -5.2873 4.3443
Li -4.6404 -4.9098 2.0880
Li -4.4654 -3.9634 4.1464
Ti -7.5626 -5.5101 2.7456
Ti -3.2134 -4.1544 9.4089
Ti -2.6176 -7.0024 1.8764
Ti -3.9782 -1.8403 1.6562
V -3.2294 -6.1379 7.0625
V -6.8290 -2.6413 2.3049
V -5.3110 -3.8695 7.2919
V -7.5121 -3.6064 5.1568
V -1.0852 -1.1099 0.9233
V -3.3892 -9.8547 2.3576
V -1.8427 -2.1417 3.7326
V -5.5452 -7.6529 2.5446
V -2.5219 -3.1690 6.5736
V -9.6541 -3.2585 2.9557
V -1.8461 -4.0556 1.4693
V -3.3498 -8.0241 4.6886
O -4.6525 -7.4846 6.1442
O -5.2854 -1.3145 3.0737
O -3.0974 -1.5029 5.3746
O -7.0070 -7.0381 3.9840
O -6.2058 -4.3245 3.5722
O -3.8723 -4.5057 5.8298
O -1.8685 -4.6955 7.9301
O -8.3081 -4.0218 1.5811
O -3.7597 -2.6557 8.1510
O -8.9434 -4.8860 4.1571
O -8.2336 -2.0838 3.8309
O -4.5367 -5.4175 8.6453
O -5.2490 0.7958 5.3952
O -7.6524 -8.2222 6.8292
O -6.8713 -5.1575 6.4917
O -6.0953 -2.2451 6.0632
O 1.0671 -5.9753 4.8089
O -5.4142 -5.0773 -1.6436
O -1.2858 -5.7150 2.6846
O -3.2626 -5.4354 0.7337
O -4.0124 -8.1715 1.0904
O -0.4717 -2.7293 2.1875
O -2.6139 -2.4791 0.2353
O -1.9983 -8.4357 3.1759
O -3.3057 -3.3939 2.7791
O -3.9460 -6.4465 3.3646
O -4.7942 -9.1884 3.8390
O -2.6170 -0.5936 2.3793
O -1.8532 -6.8293 5.5743
O -5.3362 -3.0670 0.7988
O -1.2097 -3.7001 5.1234
O -6.2823 -6.0599 1.3128
```

---

# 4
## AlNi2O4 (GGA+U)

Data for AlNi2O4 after structural relaxation.

## Properties
As for the formation enthalpy at 0 K: -1822.2 meV/atom. For the total energy, the calculation gives -5.718 eV/atom. The space group is C2/c (15).

The structure in extended XYZ format:
```
14
Lattice="5.1205 0.0041 -2.6944 -1.4056 4.9259 -2.6909 -0.2360 -0.3134 5.7810" Properties=species:S:1:pos:R:3 pbc="T T T"
Al -0.7028 2.4630 -1.3455
Al -0.1180 -0.1567 2.8905
Ni 0.8504 2.8263 1.6641
Ni 2.6286 1.7902 -1.2684
Ni 2.4422 -0.1546 1.5432
Ni -1.6416 4.6123 3.0900
O 2.7201 3.6562 -1.2103
O 3.3223 0.9665 2.9734
O 0.5642 0.9182 4.3594
O 0.7586 0.9603 1.6060
O -0.0123 3.5491 0.1111
O 0.1565 3.6500 -2.5778
O 3.4911 1.0673 0.2847
O 2.9147 3.6984 -3.9638
```

---

formation enthalpy at 0 K of number 3 (Li5TiV3O8)?
-2447.1 meV/atom